No. 1
A geometry-optimized Nd2Si2PbSe8 structure, computed with PBE.

Output
Crystal system ... monoclinic
Total energy ... -5.04 eV per atom

a b c (Å): 9.4389 9.4389 10.7486
angles (deg): 65.07 65.07 60.17
Closest atoms and distances in Å follow each position.
Atoms (fractional coordinates):
Nd (0.2497, 0.4369, 0.2514)  8 Se 2.96-3.29
Nd (0.9415, 0.0618, 0.2471)  6 Se 2.96-3.17
Nd (0.4369, 0.2497, 0.7514)  8 Se 2.96-3.29
Nd (0.0618, 0.9415, 0.7471)  6 Se 2.96-3.17
Si (0.3342, 0.8446, 0.9786)  4 Se 2.29-2.31
Si (0.8446, 0.3342, 0.4786)  4 Se 2.29-2.31
Si (0.6557, 0.1641, 0.0222)  4 Se 2.29-2.30
Si (0.1641, 0.6557, 0.5222)  4 Se 2.29-2.30
Pb (0.5719, 0.7502, 0.2501)  4 Se 2.98-3.25
Pb (0.7502, 0.5719, 0.7501)  4 Se 2.98-3.25
Se (0.5372, 0.6032, 0.0729)  1 Si 2.29
Se (0.0974, 0.7837, 0.0569)  1 Si 2.31
Se (0.2752, 0.0665, 0.0540)  1 Si 2.29
Se (0.7837, 0.0974, 0.5569)  1 Si 2.31
Se (0.6032, 0.5372, 0.5729)  1 Si 2.29
Se (0.0665, 0.2752, 0.5540)  1 Si 2.29
Se (0.4293, 0.3956, 0.9509)  1 Si 2.29
Se (0.8969, 0.2173, 0.9358)  1 Si 2.29
Se (0.7137, 0.9554, 0.9298)  1 Si 2.30
Se (0.2173, 0.8969, 0.4358)  1 Si 2.29
Se (0.3956, 0.4293, 0.4509)  1 Si 2.29
Se (0.9554, 0.7137, 0.4298)  1 Si 2.30
Se (0.4077, 0.9341, 0.7335)  1 Si 2.30
Se (0.9341, 0.4077, 0.2335)  1 Si 2.30
Se (0.5825, 0.0939, 0.2669)  1 Si 2.30
Se (0.0939, 0.5825, 0.7669)  1 Si 2.30

No. 2
A geometry-optimized Na10La4Hf4Si7S5O48 structure, computed with PBE.

Output
Crystal system ... triclinic
Total energy ... -7.20 eV per atom

a b c (Å): 18.8897 9.4258 23.1770
angles (deg): 90.00 89.06 119.69
Closest atoms and distances in Å follow each position.
Atoms (fractional coordinates):
Na (0.1847, 0.3741, 0.2378)  3 O 2.28-2.45
Na (0.6850, 0.3758, 0.2379)  3 O 2.23-2.42
Na (0.9902, 0.6358, 0.2560)  2 O 2.32-2.51
Na (0.4922, 0.6366, 0.2559)  2 O 2.32-2.48
Na (0.4911, 0.3412, 0.7627)  4 O 2.35-2.60
Na (0.1851, 0.9982, 0.7415)  3 O 2.33-2.43
Na (0.6807, 0.9971, 0.7408)  3 O 2.30-2.44
Na (0.6643, 0.3466, 0.5774)  3 O 2.45-2.51
Na (0.0148, 0.7056, 0.5751)  3 O 2.37-2.43
Na (0.8240, 0.9626, 0.5924)  3 O 2.32-2.56
Na (0.4987, 0.6800, 0.9106)  4 O 2.40-2.52
Na (0.9990, 0.6796, 0.9095)  3 O 2.34-2.56
Na (0.8476, 0.0356, 0.9053)  3 O 2.30-2.45
Na (0.1538, 0.2972, 0.9246)  3 O 2.35-2.63
Na (0.4961, 0.3157, 0.4092)  4 O 2.34-2.55
Na (0.9924, 0.3098, 0.4099)  4 O 2.36-2.57
Na (0.3436, 0.6570, 0.4034)  3 O 2.31-2.46
Na (0.8468, 0.6627, 0.4081)  3 O 2.35-2.47
Na (0.0294, 0.0146, 0.4990)  2 O 2.37-2.42
Na (0.5246, 0.9884, 0.4969)  4 O 2.44-2.66
Na (0.0177, 0.0250, 0.0032)  4 O 2.38-2.61
Na (0.5252, 0.0581, 0.9978)  3 O 2.40-2.53
Na (0.3460, 0.3252, 0.8355)  4 O 2.43-2.71
Na (0.8536, 0.3415, 0.8271)  2 O 2.34-2.55
Na (0.3430, 0.3381, 0.3300)  5 O 2.49-2.78
Na (0.8408, 0.3352, 0.3338)  5 O 2.50-2.79
Na (0.1788, 0.6487, 0.1649)  3 O 2.39-2.59
Na (0.6783, 0.6493, 0.1656)  3 O 2.37-2.58
Na (0.1783, 0.6907, 0.6734)  4 O 2.41-2.68
Na (0.6788, 0.6912, 0.6690)  5 O 2.38-2.65
La (0.0020, 0.9977, 0.3483)  6 O 2.27-2.46
La (0.5024, 0.0001, 0.3468)  6 O 2.28-2.47
La (0.9978, 0.0024, 0.8429)  5 O 2.23-2.44
La (0.4941, 0.0003, 0.8539)  6 O 2.22-2.45
La (0.3344, 0.3326, 0.6821)  6 O 2.25-2.41
La (0.8383, 0.3417, 0.6862)  6 O 2.24-2.44
La (0.3352, 0.3391, 0.1790)  6 O 2.22-2.46
La (0.8351, 0.3379, 0.1798)  6 O 2.22-2.45
La (0.1608, 0.6542, 0.0195)  5 O 2.21-2.41
La (0.6601, 0.6472, 0.0211)  3 O 2.15-2.31
La (0.1667, 0.6782, 0.5176)  5 O 2.21-2.44
La (0.6587, 0.6731, 0.5171)  5 O 2.17-2.41
Hf (0.9949, 0.9799, 0.6513)  4 O 1.98-2.10
Hf (0.4960, 0.9766, 0.6505)  3 O 1.96-2.11
Hf (0.9977, 0.0154, 0.1498)  4 O 1.98-2.18
Hf (0.4974, 0.0135, 0.1496)  4 O 1.99-2.18
Hf (0.3255, 0.3131, 0.9800)  4 O 1.96-2.17
Hf (0.8230, 0.3203, 0.9802)  4 O 1.97-2.15
Hf (0.3239, 0.3269, 0.4800)  5 O 1.98-2.22
Hf (0.8262, 0.3460, 0.4811)  4 O 1.99-2.13
Hf (0.1633, 0.6463, 0.3142)  4 O 1.99-2.08
Hf (0.6624, 0.6478, 0.3150)  4 O 1.98-2.09
Hf (0.1615, 0.6808, 0.8139)  4 O 1.99-2.09
Hf (0.6632, 0.6802, 0.8145)  4 O 1.97-2.09
Si (0.3474, 0.7090, 0.2517)  4 O 1.62-1.67
Si (0.8478, 0.7100, 0.2517)  4 O 1.63-1.67
Si (0.0031, 0.3075, 0.2541)  4 O 1.61-1.69
Si (0.5032, 0.3080, 0.2538)  4 O 1.61-1.69
Si (0.0055, 0.7000, 0.7545)  4 O 1.60-1.70
Si (0.5033, 0.6982, 0.7547)  4 O 1.60-1.70
Si (0.3482, 0.9860, 0.7480)  4 O 1.61-1.69
Si (0.8423, 0.9818, 0.7524)  4 O 1.62-1.69
Si (0.1783, 0.0407, 0.5889)  4 O 1.61-1.71
Si (0.6822, 0.0479, 0.5887)  4 O 1.61-1.71
Si (0.8363, 0.6409, 0.5815)  4 O 1.59-1.70
Si (0.1781, 0.3164, 0.0877)  4 O 1.63-1.70
Si (0.6780, 0.3145, 0.0903)  4 O 1.62-1.71
Si (0.0144, 0.3734, 0.9164)  4 O 1.62-1.69
Si (0.5107, 0.3739, 0.9154)  4 O 1.60-1.70
Si (0.1688, 0.9707, 0.9159)  4 O 1.60-1.68
Si (0.6707, 0.9683, 0.9184)  4 O 1.59-1.71
Si (0.1694, 0.3701, 0.4178)  4 O 1.59-1.70
Si (0.6690, 0.3684, 0.4206)  4 O 1.61-1.71
Si (0.0115, 0.6510, 0.4185)  4 O 1.62-1.70
Si (0.5083, 0.6511, 0.4144)  4 O 1.60-1.70
S (0.1453, 0.9802, 0.2455)  4 O 1.47-1.50
S (0.6456, 0.9799, 0.2454)  4 O 1.46-1.50
S (0.1454, 0.3130, 0.7484)  4 O 1.48-1.50
S (0.6403, 0.3009, 0.7453)  4 O 1.46-1.53
S (0.4789, 0.3040, 0.5808)  4 O 1.47-1.50
S (0.9782, 0.3115, 0.5779)  4 O 1.46-1.51
S (0.3453, 0.6456, 0.5794)  4 O 1.46-1.52
S (0.4792, 0.6556, 0.0825)  4 O 1.47-1.49
S (0.9788, 0.6546, 0.0818)  4 O 1.47-1.50
S (0.3435, 0.0417, 0.0816)  4 O 1.46-1.51
S (0.8438, 0.0419, 0.0800)  4 O 1.46-1.52
S (0.3090, 0.6399, 0.9168)  4 O 1.46-1.53
S (0.8117, 0.6469, 0.9163)  4 O 1.46-1.52
S (0.3125, 0.9790, 0.4146)  4 O 1.46-1.52
S (0.8107, 0.9752, 0.4158)  4 O 1.47-1.50
O (0.1163, 0.0135, 0.3006)  1 S 1.48
O (0.6170, 0.0130, 0.3007)  1 S 1.48
O (0.3953, 0.7666, 0.3122)  1 Si 1.62
O (0.8974, 0.7668, 0.3117)  1 Si 1.63
O (0.4928, 0.2209, 0.3156)  1 Si 1.61
O (0.9940, 0.2196, 0.3154)  1 Si 1.61
O (0.1174, 0.2336, 0.8060)  1 S 1.49
O (0.6043, 0.2044, 0.7979)  1 S 1.46
O (0.4939, 0.7713, 0.8147)  1 Si 1.60
O (0.0021, 0.7767, 0.8160)  1 Si 1.61
O (0.4097, 0.0445, 0.8011)  1 Si 1.61
O (0.8856, 0.0018, 0.8139)  1 Si 1.62
O (0.4011, 0.9715, 0.6912)  1 Si 1.69
O (0.9008, 0.9807, 0.6965)  1 Si 1.69
O (0.0887, 0.2077, 0.7026)  1 S 1.50
O (0.5888, 0.2081, 0.6939)  1 S 1.53
O (0.0120, 0.8278, 0.7003)  1 Si 1.70
O (0.5119, 0.8261, 0.6997)  1 Si 1.70
O (0.4064, 0.8333, 0.1988)  1 Si 1.67
O (0.9062, 0.8347, 0.1983)  1 Si 1.67
O (0.0134, 0.1975, 0.2006)  1 Si 1.69
O (0.5128, 0.1957, 0.2010)  1 Si 1.68
O (0.0895, 0.9687, 0.1980)  1 S 1.50
O (0.5894, 0.9682, 0.1983)  1 S 1.50
O (0.4436, 0.3241, 0.6353)  1 S 1.47
O (0.9415, 0.3367, 0.6302)  1 S 1.46
O (0.2231, 0.1116, 0.6491)  1 Si 1.61
O (0.7269, 0.1171, 0.6491)  1 Si 1.61
O (0.3342, 0.5532, 0.6325)  1 S 1.46
O (0.8171, 0.5147, 0.6332)  1 Si 1.59
O (0.4455, 0.5680, 0.1385)  1 S 1.49
O (0.9442, 0.5678, 0.1374)  1 S 1.48
O (0.3325, 0.1079, 0.1359)  1 S 1.46
O (0.8334, 0.1129, 0.1334)  1 S 1.46
O (0.2204, 0.3232, 0.1490)  1 Si 1.63
O (0.7191, 0.3193, 0.1517)  1 Si 1.62
O (0.2362, 0.3064, 0.0325)  1 Si 1.70
O (0.7396, 0.3090, 0.0364)  1 Si 1.71
O (0.4291, 0.5549, 0.0335)  1 S 1.49
O (0.9294, 0.5553, 0.0322)  1 S 1.50
O (0.3501, 0.1514, 0.0318)  1 S 1.51
O (0.8506, 0.1474, 0.0288)  1 S 1.51
O (0.2388, 0.1643, 0.5338)  1 Si 1.71
O (0.7386, 0.1798, 0.5344)  1 Si 1.71
O (0.3499, 0.5509, 0.5278)  1 S 1.52
O (0.8502, 0.5501, 0.5222)  1 Si 1.70
O (0.4310, 0.3076, 0.5303)  1 S 1.50
O (0.9284, 0.3013, 0.5262)  1 S 1.51
O (0.2761, 0.6671, 0.9703)  1 S 1.46
O (0.7785, 0.6748, 0.9697)  1 S 1.46
O (0.0760, 0.4381, 0.9699)  1 Si 1.62
O (0.5648, 0.4623, 0.9705)  1 Si 1.60
O (0.1513, 0.8481, 0.9688)  1 Si 1.60
O (0.6683, 0.8599, 0.9720)  1 Si 1.59
O (0.2806, 0.8878, 0.4687)  1 S 1.46
O (0.7798, 0.8894, 0.4715)  1 S 1.47
O (0.1642, 0.4703, 0.4715)  1 Si 1.59
O (0.6636, 0.4502, 0.4801)  1 Si 1.61
O (0.0574, 0.6726, 0.4791)  1 Si 1.62
O (0.5610, 0.6783, 0.4708)  1 Si 1.60
O (0.0684, 0.6401, 0.3629)  1 Si 1.70
O (0.5609, 0.6371, 0.3567)  1 Si 1.70
O (0.2608, 0.8903, 0.3649)  1 S 1.49
O (0.7575, 0.8778, 0.3674)  1 S 1.50
O (0.1838, 0.4910, 0.3593)  1 Si 1.70
O (0.6787, 0.4970, 0.3654)  1 Si 1.71
O (0.0671, 0.5024, 0.8615)  1 Si 1.69
O (0.5617, 0.4912, 0.8567)  1 Si 1.70
O (0.1783, 0.8781, 0.8565)  1 Si 1.68
O (0.6837, 0.8745, 0.8594)  1 Si 1.71
O (0.2592, 0.6313, 0.8660)  1 S 1.50
O (0.7610, 0.6308, 0.8658)  1 S 1.48
O (0.9895, 0.7976, 0.4141)  1 Si 1.63
O (0.4838, 0.7944, 0.4121)  1 Si 1.63
O (0.3971, 0.0111, 0.4081)  1 S 1.48
O (0.8944, 0.9993, 0.4089)  1 S 1.49
O (0.0889, 0.1919, 0.4158)  1 Si 1.62
O (0.5883, 0.1904, 0.4153)  1 Si 1.62
O (0.9916, 0.1824, 0.9099)  1 Si 1.64
O (0.4913, 0.1871, 0.9150)  1 Si 1.61
O (0.0943, 0.0131, 0.9135)  1 Si 1.64
O (0.5900, 0.9851, 0.9163)  1 Si 1.61
O (0.3952, 0.7640, 0.9114)  1 S 1.46
O (0.8970, 0.7835, 0.9098)  1 S 1.49
O (0.4808, 0.1476, 0.5817)  1 S 1.49
O (0.9779, 0.1525, 0.5825)  1 S 1.50
O (0.0879, 0.0320, 0.5900)  1 Si 1.67
O (0.5922, 0.0424, 0.5898)  1 Si 1.68
O (0.4251, 0.8043, 0.5820)  1 S 1.51
O (0.9243, 0.8153, 0.5910)  1 Si 1.68
O (0.4786, 0.8135, 0.0846)  1 S 1.49
O (0.9793, 0.8139, 0.0831)  1 S 1.50
O (0.4227, 0.0393, 0.0842)  1 S 1.51
O (0.9233, 0.0395, 0.0837)  1 S 1.52
O (0.0873, 0.1452, 0.0898)  1 Si 1.67
O (0.5874, 0.1442, 0.0902)  1 Si 1.67
O (0.3275, 0.1363, 0.7427)  1 Si 1.65
O (0.8203, 0.1288, 0.7487)  1 Si 1.63
O (0.2276, 0.3336, 0.7400)  1 S 1.48
O (0.7235, 0.3301, 0.7404)  1 S 1.46
O (0.4330, 0.5076, 0.7476)  1 Si 1.63
O (0.9304, 0.5173, 0.7512)  1 Si 1.60
O (0.3294, 0.5190, 0.2450)  1 Si 1.66
O (0.8306, 0.5212, 0.2443)  1 Si 1.65
O (0.4320, 0.3558, 0.2466)  1 Si 1.63
O (0.9319, 0.3550, 0.2473)  1 Si 1.62
O (0.2295, 0.1125, 0.2371)  1 S 1.47
O (0.7299, 0.1115, 0.2371)  1 S 1.46
O (0.3048, 0.4737, 0.9207)  1 S 1.53
O (0.8172, 0.4919, 0.9221)  1 S 1.52
O (0.4238, 0.3845, 0.9232)  1 Si 1.70
O (0.9277, 0.3792, 0.9271)  1 Si 1.68
O (0.2549, 0.1502, 0.9242)  1 Si 1.68
O (0.7580, 0.1503, 0.9237)  1 Si 1.70
O (0.3167, 0.1432, 0.4196)  1 S 1.52
O (0.8167, 0.1394, 0.4176)  1 S 1.50
O (0.2563, 0.3628, 0.4236)  1 Si 1.68
O (0.7570, 0.3650, 0.4197)  1 Si 1.68
O (0.4216, 0.4689, 0.4216)  1 Si 1.69
O (0.9245, 0.4697, 0.4206)  1 Si 1.69
O (0.1678, 0.4778, 0.0853)  1 Si 1.63
O (0.6677, 0.4752, 0.0883)  1 Si 1.62
O (0.0629, 0.6840, 0.0788)  1 S 1.47
O (0.5638, 0.6877, 0.0794)  1 S 1.47
O (0.2759, 0.8756, 0.0743)  1 S 1.46
O (0.7768, 0.8748, 0.0744)  1 S 1.46
O (0.1580, 0.8496, 0.5850)  1 Si 1.65
O (0.6763, 0.8708, 0.5823)  1 Si 1.62
O (0.2782, 0.6805, 0.5739)  1 S 1.46
O (0.7628, 0.6828, 0.5786)  1 Si 1.62
O (0.0621, 0.4500, 0.5738)  1 S 1.47
O (0.5646, 0.4407, 0.5786)  1 S 1.49
O (0.1417, 0.8178, 0.2493)  1 S 1.50
O (0.6424, 0.8177, 0.2489)  1 S 1.50
O (0.2576, 0.7022, 0.2563)  1 Si 1.67
O (0.7575, 0.7007, 0.2575)  1 Si 1.67
O (0.0932, 0.4849, 0.2545)  1 Si 1.69
O (0.5938, 0.4840, 0.2545)  1 Si 1.69
O (0.1498, 0.4750, 0.7487)  1 S 1.49
O (0.6389, 0.4584, 0.7478)  1 S 1.50
O (0.0958, 0.7054, 0.7511)  1 Si 1.68
O (0.5938, 0.7032, 0.7540)  1 Si 1.69
O (0.2600, 0.8145, 0.7575)  1 Si 1.66
O (0.7545, 0.8035, 0.7542)  1 Si 1.68

No. 3
A geometry-optimized Cs2Sb2OF10 structure, computed with PBE.

Output
Crystal system ... monoclinic
Total energy ... -4.76 eV per atom

a b c (Å): 5.4652 7.5968 14.2733
angles (deg): 79.40 90.00 90.00
Closest atoms and distances in Å follow each position.
Atoms (fractional coordinates):
Cs (0.4095, 0.2346, 0.5928)  6 F 2.99-3.28
Cs (0.5905, 0.2346, 0.0928)  6 F 2.99-3.28
Cs (0.5905, 0.7654, 0.4072)  6 F 2.99-3.28
Cs (0.4095, 0.7654, 0.9072)  6 F 2.99-3.28
Sb (0.0168, 0.2938, 0.3335)  5 F 1.93-1.94, 1 O 1.96
Sb (0.9832, 0.2938, 0.8335)  5 F 1.93-1.94, 1 O 1.96
Sb (0.0168, 0.7062, 0.1665)  5 F 1.93-1.94, 1 O 1.96
Sb (0.9832, 0.7062, 0.6665)  5 F 1.93-1.94, 1 O 1.96
O (0.1298, 0.5000, 0.7500)  2 Sb 1.96
O (0.8702, 0.5000, 0.2500)  2 Sb 1.96
F (0.7317, 0.8479, 0.1835)  1 Sb 1.93
F (0.6931, 0.5804, 0.6381)  1 Sb 1.93
F (0.1660, 0.7897, 0.2728)  1 Sb 1.93
F (0.8488, 0.0863, 0.9165)  1 Sb 1.93
F (0.3069, 0.4196, 0.3619)  1 Sb 1.93
F (0.1512, 0.9137, 0.0835)  1 Sb 1.93
F (0.1660, 0.2103, 0.2272)  1 Sb 1.93
F (0.2683, 0.8479, 0.6835)  1 Sb 1.93
F (0.8340, 0.2103, 0.7272)  1 Sb 1.93
F (0.6931, 0.4196, 0.8619)  1 Sb 1.93
F (0.1512, 0.0863, 0.4165)  1 Sb 1.93
F (0.1394, 0.3591, 0.9443)  1 Sb 1.94
F (0.2683, 0.1521, 0.8165)  1 Sb 1.93
F (0.8606, 0.6409, 0.0557)  1 Sb 1.94
F (0.8340, 0.7897, 0.7728)  1 Sb 1.93
F (0.7317, 0.1521, 0.3165)  1 Sb 1.93
F (0.8488, 0.9137, 0.5835)  1 Sb 1.93
F (0.8606, 0.3591, 0.4443)  1 Sb 1.94
F (0.3069, 0.5804, 0.1381)  1 Sb 1.93
F (0.1394, 0.6409, 0.5557)  1 Sb 1.94